(1)
{"formula": "TbScGe", "functional": "meta-GGA r2SCAN", "state": "relaxed", "lattice": [[-3.866, 0.178, 1.734], [-1.668, 0.855, -3.804], [1.833, -8.134, -0.267]], "species": ["Sc", "Sc", "Ge", "Ge", "Tb", "Tb"], "frac_coords": [[0.500, 0.000, 0.000], [0.000, 0.500, 0.000], [0.127, 0.127, 0.254], [0.873, 0.873, 0.746], [0.322, 0.322, 0.645], [0.678, 0.678, 0.355]], "formation_enthalpy_0k_ev_per_fu": -2.53, "vol_a3_per_cell": 140.0, "dft_energy_ev_per_atom": -19.675}



(2)
{"formula": "LuAl7Au3", "functional": "meta-GGA r2SCAN", "state": "relaxed", "lattice": [[-7.006, 2.241, -3.963], [-1.600, -2.152, -7.913], [-5.963, -5.472, -2.076]], "species": ["Al", "Al", "Al", "Al", "Al", "Al", "Al", "Al", "Al", "Al", "Al", "Al", "Al", "Al", "Au", "Au", "Au", "Au", "Au", "Au", "Lu", "Lu"], "frac_coords": [[0.750, 0.750, 0.750], [0.647, 0.432, 0.833], [0.333, 0.932, 0.147], [0.353, 0.568, 0.167], [0.853, 0.667, 0.068], [0.147, 0.333, 0.932], [0.932, 0.147, 0.333], [0.250, 0.250, 0.250], [0.167, 0.353, 0.568], [0.568, 0.167, 0.353], [0.667, 0.068, 0.853], [0.833, 0.647, 0.432], [0.068, 0.853, 0.667], [0.432, 0.833, 0.647], [0.424, 0.076, 0.750], [0.750, 0.424, 0.076], [0.924, 0.250, 0.576], [0.250, 0.576, 0.924], [0.076, 0.750, 0.424], [0.576, 0.924, 0.250], [0.000, 0.000, 0.000], [0.500, 0.500, 0.500]], "formation_enthalpy_0k_ev_per_fu": -5.99, "vol_a3_per_cell": 386.5, "dft_energy_ev_per_atom": -22.086}



(3)
{"formula": "LaCuO2", "functional": "meta-GGA r2SCAN", "state": "relaxed", "lattice": [[5.742, -1.923, -0.004], [5.742, 1.923, -0.004], [5.100, 0.000, 3.264]], "species": ["O", "O", "La", "Cu"], "frac_coords": [[0.894, 0.894, 0.894], [0.106, 0.106, 0.106], [0.500, 0.500, 0.500], [0.000, 0.000, 0.000]], "formation_enthalpy_0k_ev_per_fu": -10.12, "vol_a3_per_cell": 72.1, "dft_energy_ev_per_atom": -15.665}



(4)
{"formula": "ErCd6", "functional": "meta-GGA r2SCAN", "state": "relaxed", "lattice": [[-7.706, 7.741, 7.844], [7.706, -7.741, 7.844], [7.706, 7.741, -7.844]], "species": ["Cd", "Cd", "Cd", "Cd", "Cd", "Cd", "Cd", "Cd", "Cd", "Cd", "Cd", "Cd", "Cd", "Cd", "Cd", "Cd", "Cd", "Cd", "Cd", "Cd", "Cd", "Cd", "Cd", "Cd", "Cd", "Cd", "Cd", "Cd", "Cd", "Cd", "Cd", "Cd", "Cd", "Cd", "Cd", "Cd", "Cd", "Cd", "Cd", "Cd", "Cd", "Cd", "Cd", "Cd", "Cd", "Cd", "Cd", "Cd", "Cd", "Cd", "Cd", "Cd", "Cd", "Cd", "Cd", "Cd", "Cd", "Cd", "Cd", "Cd", "Cd", "Cd", "Cd", "Cd", "Cd", "Cd", "Cd", "Cd", "Cd", "Cd", "Cd", "Cd", "Er", "Er", "Er", "Er", "Er", "Er", "Er", "Er", "Er", "Er", "Er", "Er"], "frac_coords": [[0.905, 0.238, 0.144], [0.405, 0.753, 0.348], [0.325, 0.324, 0.321], [0.460, 0.914, 0.774], [0.675, 0.676, 0.679], [0.079, 0.221, 0.538], [0.248, 0.653, 0.595], [0.595, 0.247, 0.652], [0.905, 0.762, 0.667], [0.140, 0.686, 0.226], [0.863, 0.090, 0.773], [0.914, 0.003, 0.090], [0.781, 0.452, 0.919], [0.675, 0.996, 0.999], [0.137, 0.910, 0.227], [0.086, 0.997, 0.910], [0.308, 0.808, 0.500], [0.657, 0.402, 0.059], [0.595, 0.942, 0.348], [0.752, 0.347, 0.405], [0.317, 0.779, 0.858], [0.997, 0.996, 0.321], [0.540, 0.086, 0.226], [0.261, 0.165, 0.904], [0.086, 0.176, 0.090], [0.921, 0.779, 0.462], [0.343, 0.598, 0.941], [0.533, 0.452, 0.671], [0.003, 0.324, 0.999], [0.533, 0.862, 0.081], [0.500, 0.690, 0.190], [0.095, 0.762, 0.856], [0.914, 0.824, 0.910], [0.739, 0.643, 0.904], [0.739, 0.835, 0.096], [0.325, 0.004, 0.001], [0.467, 0.548, 0.329], [0.095, 0.238, 0.333], [0.317, 0.459, 0.538], [0.941, 0.347, 0.595], [0.781, 0.862, 0.329], [0.683, 0.541, 0.462], [0.261, 0.357, 0.096], [0.467, 0.138, 0.919], [0.343, 0.402, 0.745], [0.812, 0.500, 0.312], [0.003, 0.004, 0.679], [0.460, 0.686, 0.546], [0.500, 0.310, 0.810], [0.079, 0.541, 0.858], [0.540, 0.314, 0.454], [0.860, 0.086, 0.546], [0.412, 0.412, 0.000], [0.059, 0.653, 0.405], [0.997, 0.676, 0.001], [0.692, 0.192, 0.500], [0.219, 0.548, 0.081], [0.598, 0.000, 0.598], [0.219, 0.138, 0.671], [0.683, 0.910, 0.773], [0.683, 0.221, 0.142], [0.588, 0.588, 0.000], [0.921, 0.459, 0.142], [0.140, 0.914, 0.454], [0.402, 0.000, 0.402], [0.860, 0.314, 0.774], [0.000, 0.596, 0.596], [0.657, 0.598, 0.255], [0.188, 0.500, 0.688], [0.317, 0.090, 0.227], [0.000, 0.404, 0.404], [0.405, 0.058, 0.652], [0.889, 0.697, 0.192], [0.298, 0.814, 0.112], [0.702, 0.186, 0.888], [0.193, 0.895, 0.702], [0.193, 0.491, 0.298], [0.807, 0.509, 0.702], [0.298, 0.186, 0.485], [0.495, 0.303, 0.192], [0.111, 0.303, 0.808], [0.807, 0.105, 0.298], [0.702, 0.814, 0.515], [0.505, 0.697, 0.808]], "formation_enthalpy_0k_ev_per_fu": -1.36, "vol_a3_per_cell": 1871.7, "dft_energy_ev_per_atom": -22.273}



(5)
{"formula": "Er2Ga9Ir3", "functional": "meta-GGA r2SCAN", "state": "relaxed", "lattice": [[5.268, 5.284, -0.548], [-6.070, 1.218, 4.200], [4.436, -3.647, 7.469]], "species": ["Ga", "Ga", "Ga", "Ga", "Ga", "Ga", "Ga", "Ga", "Ga", "Ga", "Ga", "Ga", "Ga", "Ga", "Ga", "Ga", "Ga", "Ga", "Ir", "Ir", "Ir", "Ir", "Ir", "Ir", "Er", "Er", "Er", "Er"], "frac_coords": [[0.665, 0.000, 0.420], [0.338, 0.545, 0.750], [0.665, 0.000, 0.080], [0.333, 0.333, 0.431], [0.455, 0.662, 0.250], [0.667, 0.667, 0.569], [0.545, 0.338, 0.750], [0.667, 0.667, 0.931], [0.662, 0.455, 0.250], [0.870, 0.870, 0.250], [0.000, 0.665, 0.420], [0.335, 0.000, 0.920], [0.335, 0.000, 0.580], [0.000, 0.335, 0.920], [0.000, 0.665, 0.080], [0.000, 0.335, 0.580], [0.130, 0.130, 0.750], [0.333, 0.333, 0.069], [0.672, 0.328, 0.000], [0.000, 0.000, 0.500], [0.328, 0.672, 0.000], [0.672, 0.328, 0.500], [0.000, 0.000, 0.000], [0.328, 0.672, 0.500], [0.002, 0.330, 0.250], [0.330, 0.002, 0.250], [0.998, 0.670, 0.750], [0.670, 0.998, 0.750]], "formation_enthalpy_0k_ev_per_fu": -10.40, "vol_a3_per_cell": 457.5, "dft_energy_ev_per_atom": -24.165}



(6)
{"formula": "NaSbS2", "functional": "meta-GGA r2SCAN", "state": "relaxed", "lattice": [[5.367, -0.020, -2.329], [-1.039, 5.265, -2.329], [-0.002, -0.002, 6.855]], "species": ["S", "S", "S", "S", "Sb", "Sb", "Na", "Na"], "frac_coords": [[0.312, 0.133, 0.240], [0.867, 0.688, 0.260], [0.133, 0.312, 0.740], [0.688, 0.867, 0.760], [0.102, 0.898, 0.750], [0.898, 0.102, 0.250], [0.635, 0.365, 0.750], [0.365, 0.635, 0.250]], "formation_enthalpy_0k_ev_per_fu": -3.18, "vol_a3_per_cell": 193.5, "dft_energy_ev_per_atom": -12.130}



(7)
{"formula": "AcCrO3", "functional": "meta-GGA r2SCAN", "state": "relaxed", "lattice": [[-1.143, 0.623, 3.723], [-1.536, -3.631, 0.136], [3.449, -1.410, 1.295]], "species": ["Cr", "Ac", "O", "O", "O"], "frac_coords": [[0.500, 0.500, 0.500], [0.000, 0.000, 0.000], [0.500, 0.000, 0.500], [0.500, 0.500, 0.000], [0.000, 0.500, 0.500]], "formation_enthalpy_0k_ev_per_fu": -15.82, "vol_a3_per_cell": 61.4, "dft_energy_ev_per_atom": -23.490}



(8)
{"formula": "BaBiF7", "functional": "meta-GGA r2SCAN", "state": "relaxed", "lattice": [[-5.795, 0.282, 7.826], [-2.220, -4.841, -1.469], [7.128, -4.874, 5.453]], "species": ["F", "F", "F", "F", "F", "F", "F", "F", "F", "F", "F", "F", "F", "F", "F", "F", "F", "F", "F", "F", "F", "F", "F", "F", "F", "F", "F", "F", "Bi", "Bi", "Bi", "Bi", "Ba", "Ba", "Ba", "Ba"], "frac_coords": [[0.443, 0.116, 0.880], [0.521, 0.971, 0.366], [0.764, 0.488, 0.747], [0.476, 0.587, 0.629], [0.021, 0.029, 0.134], [0.736, 0.488, 0.247], [0.524, 0.413, 0.371], [0.224, 0.008, 0.717], [0.276, 0.008, 0.217], [0.557, 0.884, 0.120], [0.536, 0.634, 0.883], [0.264, 0.512, 0.753], [0.464, 0.366, 0.117], [0.036, 0.366, 0.617], [0.725, 0.216, 0.048], [0.775, 0.216, 0.548], [0.979, 0.971, 0.866], [0.024, 0.587, 0.129], [0.057, 0.116, 0.380], [0.943, 0.884, 0.620], [0.976, 0.413, 0.871], [0.964, 0.634, 0.383], [0.479, 0.029, 0.634], [0.776, 0.992, 0.283], [0.225, 0.784, 0.452], [0.724, 0.992, 0.783], [0.275, 0.784, 0.952], [0.236, 0.512, 0.253], [0.392, 0.810, 0.778], [0.892, 0.190, 0.722], [0.608, 0.190, 0.222], [0.108, 0.810, 0.278], [0.212, 0.291, 0.000], [0.788, 0.709, 0.000], [0.712, 0.709, 0.500], [0.288, 0.291, 0.500]], "formation_enthalpy_0k_ev_per_fu": -24.73, "vol_a3_per_cell": 549.7, "dft_energy_ev_per_atom": -14.624}



(9)
{"formula": "N", "functional": "meta-GGA r2SCAN", "state": "relaxed", "lattice": [[7.178, -0.079, 0.525], [0.482, 7.162, 0.525], [-0.085, -0.079, 7.196]], "species": ["N", "N", "N", "N", "N", "N", "N", "N", "N", "N", "N", "N", "N", "N", "N", "N"], "frac_coords": [[0.042, 0.042, 0.042], [0.042, 0.559, 0.721], [0.441, 0.279, 0.958], [0.958, 0.958, 0.958], [0.941, 0.458, 0.779], [0.542, 0.221, 0.059], [0.779, 0.941, 0.458], [0.059, 0.542, 0.221], [0.958, 0.441, 0.279], [0.221, 0.059, 0.542], [0.458, 0.779, 0.941], [0.542, 0.542, 0.542], [0.559, 0.721, 0.042], [0.458, 0.458, 0.458], [0.279, 0.958, 0.441], [0.721, 0.042, 0.559]], "de_polymorph_ev_per_atom": 0.002, "formation_enthalpy_0k_ev_per_fu": 0.00, "vol_a3_per_cell": 370.8, "dft_energy_ev_per_atom": -9.127}



(10)
{"formula": "Ba2ZnHg", "functional": "meta-GGA r2SCAN", "state": "relaxed", "lattice": [[-4.645, -2.809, 2.209], [-5.388, 2.160, -0.809], [-3.746, -2.736, -3.582]], "species": ["Ba", "Ba", "Zn", "Hg"], "frac_coords": [[0.250, 0.250, 0.250], [0.750, 0.750, 0.750], [0.000, 0.000, 0.000], [0.500, 0.500, 0.500]], "formation_enthalpy_0k_ev_per_fu": -1.29, "vol_a3_per_cell": 142.3, "dft_energy_ev_per_atom": -28.142}



(11)
{"formula": "Y3AlC3", "functional": "meta-GGA r2SCAN", "state": "relaxed", "lattice": [[-3.235, 1.311, -0.787], [2.783, 3.653, -5.354], [-1.636, -7.703, -6.106]], "species": ["Y", "Y", "Y", "Y", "Y", "Y", "C", "C", "C", "C", "C", "C", "Al", "Al"], "frac_coords": [[0.500, 0.010, 0.199], [0.000, 0.250, 0.457], [0.500, 0.490, 0.199], [0.500, 0.990, 0.801], [0.000, 0.750, 0.543], [0.500, 0.510, 0.801], [0.500, 0.509, 0.434], [0.000, 0.250, 0.208], [0.500, 0.491, 0.566], [0.000, 0.750, 0.792], [0.500, 0.009, 0.566], [0.500, 0.991, 0.434], [0.000, 0.250, 0.006], [0.000, 0.750, 0.994]], "formation_enthalpy_0k_ev_per_fu": -3.65, "vol_a3_per_cell": 251.5, "dft_energy_ev_per_atom": -14.452}



(12)
{"formula": "Pr2Tl", "functional": "meta-GGA r2SCAN", "state": "relaxed", "lattice": [[5.617, 0.000, 0.000], [-2.808, 4.864, 0.000], [0.000, 0.000, 6.972]], "species": ["Pr", "Pr", "Pr", "Pr", "Tl", "Tl"], "frac_coords": [[0.000, 0.000, 0.500], [0.333, 0.667, 0.750], [0.000, 0.000, 0.000], [0.667, 0.333, 0.250], [0.667, 0.333, 0.750], [0.333, 0.667, 0.250]], "formation_enthalpy_0k_ev_per_fu": -1.14, "vol_a3_per_cell": 190.5, "dft_energy_ev_per_atom": -37.708}